Record 1
{"formula": "ZnFe2O4", "functional": "PBE with a Hubbard U", "state": "optimized geometry", "lattice": [[-5.278, -2.794, 0.691], [-1.035, -3.279, 4.934], [-23.534, 11.699, 24.900]], "species": ["Zn", "O", "Fe", "O", "Fe", "Fe", "Zn", "Zn", "Fe", "O", "Fe", "O", "O", "Fe", "O", "O", "O", "Fe", "Zn", "Fe", "O", "O", "Zn", "Fe", "Fe", "Zn", "O", "O", "Fe", "O", "O", "Zn", "Zn", "O", "Zn", "O", "Zn", "Fe", "O", "Zn", "O", "Fe", "O", "O", "O", "O", "O", "Fe", "O", "O", "O", "O", "O", "O", "O", "O", "O", "O", "O", "O", "O", "Zn", "O", "O", "O", "Fe", "O", "Fe", "Fe", "Fe", "O", "O", "O", "O", "O", "O", "Fe", "O", "Fe", "O", "Fe", "Fe", "Fe", "Fe"], "fractional_positions": [[0.126, 0.126, 0.520], [0.721, 0.260, 0.543], [0.497, 0.498, 0.334], [0.252, 0.719, 0.046], [0.876, 0.876, 0.978], [0.499, 0.004, 0.916], [0.127, 0.127, 0.354], [0.874, 0.874, 0.311], [0.500, 0.500, 0.916], [0.253, 0.254, 0.214], [0.876, 0.876, 0.144], [0.745, 0.268, 0.124], [0.721, 0.261, 0.876], [0.500, 0.000, 0.583], [0.748, 0.267, 0.956], [0.743, 0.743, 0.379], [0.261, 0.721, 0.710], [0.005, 0.496, 0.083], [0.874, 0.874, 0.813], [0.496, 0.005, 0.083], [0.261, 0.261, 0.377], [0.286, 0.731, 0.288], [0.125, 0.125, 0.687], [0.502, 0.502, 0.250], [0.004, 0.499, 0.916], [0.123, 0.123, 0.022], [0.271, 0.271, 0.286], [0.718, 0.252, 0.046], [0.497, 0.497, 0.084], [0.739, 0.739, 0.880], [0.261, 0.724, 0.375], [0.123, 0.123, 0.190], [0.501, 0.500, 0.167], [0.280, 0.741, 0.456], [0.875, 0.875, 0.646], [0.734, 0.734, 0.211], [0.875, 0.875, 0.479], [0.502, 0.999, 0.417], [0.748, 0.748, 0.956], [0.126, 0.126, 0.854], [0.739, 0.738, 0.288], [0.500, 0.500, 0.750], [0.741, 0.280, 0.456], [0.741, 0.742, 0.790], [0.724, 0.260, 0.375], [0.260, 0.260, 0.710], [0.743, 0.743, 0.045], [0.501, 0.501, 0.833], [0.260, 0.260, 0.543], [0.254, 0.255, 0.123], [0.261, 0.721, 0.876], [0.268, 0.746, 0.124], [0.261, 0.261, 0.876], [0.260, 0.721, 0.543], [0.731, 0.286, 0.288], [0.280, 0.740, 0.623], [0.252, 0.252, 0.046], [0.740, 0.280, 0.623], [0.741, 0.741, 0.713], [0.740, 0.740, 0.623], [0.260, 0.260, 0.620], [0.500, 0.500, 0.000], [0.746, 0.746, 0.123], [0.279, 0.741, 0.790], [0.260, 0.260, 0.786], [0.500, 0.500, 0.583], [0.741, 0.740, 0.547], [0.501, 0.501, 0.416], [0.002, 0.498, 0.250], [0.999, 0.502, 0.417], [0.741, 0.741, 0.456], [0.267, 0.748, 0.956], [0.261, 0.261, 0.453], [0.259, 0.259, 0.954], [0.721, 0.261, 0.710], [0.741, 0.279, 0.790], [0.498, 0.002, 0.250], [0.714, 0.263, 0.215], [0.001, 0.500, 0.750], [0.263, 0.714, 0.215], [0.500, 0.500, 0.500], [0.000, 0.500, 0.583], [0.500, 0.500, 0.666], [0.500, 0.001, 0.750]], "magnetic_moment_mub_per_cell": 119.89, "crystal_system": "monoclinic", "formation_energy_ev_per_atom": -1.71, "e_above_lowest_polymorph_ev_per_atom": 0.0346}

Record 2
{"formula": "MnTe2O5", "functional": "PBE with a Hubbard U", "state": "optimized geometry", "lattice": [[6.219, 0.000, 0.000], [0.000, 7.480, 0.000], [0.000, 0.000, 11.117]], "species": ["Te", "Te", "O", "O", "Mn", "O", "Te", "O", "O", "Te", "O", "O", "O", "O", "O", "O", "Te", "O", "Mn", "O", "O", "O", "O", "Mn", "O", "Te", "Te", "O", "O", "Mn", "Te", "O"], "fractional_positions": [[0.019, 0.635, 0.845], [0.981, 0.135, 0.655], [0.550, 0.847, 0.065], [0.450, 0.347, 0.435], [0.750, 0.000, 0.940], [0.809, 0.195, 0.789], [0.481, 0.365, 0.845], [0.191, 0.805, 0.211], [0.450, 0.153, 0.935], [0.481, 0.135, 0.345], [0.191, 0.695, 0.711], [0.750, 0.000, 0.564], [0.250, 0.500, 0.936], [0.250, 0.000, 0.436], [0.809, 0.305, 0.289], [0.050, 0.847, 0.935], [0.519, 0.635, 0.155], [0.691, 0.695, 0.289], [0.750, 0.500, 0.440], [0.691, 0.805, 0.789], [0.050, 0.653, 0.435], [0.950, 0.347, 0.565], [0.750, 0.500, 0.064], [0.250, 0.500, 0.560], [0.550, 0.653, 0.565], [0.519, 0.865, 0.655], [0.981, 0.365, 0.155], [0.309, 0.305, 0.711], [0.309, 0.195, 0.211], [0.250, 0.000, 0.060], [0.019, 0.865, 0.345], [0.950, 0.153, 0.065]], "crystal_system": "orthorhombic", "formation_energy_ev_per_atom": -1.68, "e_above_lowest_polymorph_ev_per_atom": 0.0000}

Record 3
{"formula": "Li4Mn3Ni3W2O16", "functional": "PBE with a Hubbard U", "state": "optimized geometry", "lattice": [[2.940, 5.202, 0.000], [-2.940, 5.202, 0.000], [0.000, 0.224, 9.749]], "species": ["O", "Li", "O", "Li", "O", "Mn", "W", "O", "O", "Ni", "O", "Li", "W", "O", "O", "O", "O", "Mn", "O", "Ni", "O", "O", "O", "Mn", "Li", "Ni", "O", "O"], "fractional_positions": [[0.162, 0.162, 0.092], [0.998, 0.998, 0.986], [0.645, 0.153, 0.081], [0.007, 0.007, 0.492], [0.002, 0.002, 0.303], [0.835, 0.340, 0.215], [0.334, 0.334, 0.982], [0.348, 0.843, 0.592], [0.153, 0.645, 0.081], [0.664, 0.172, 0.712], [0.523, 0.970, 0.357], [0.660, 0.660, 0.905], [0.683, 0.683, 0.489], [0.460, 0.033, 0.843], [0.834, 0.834, 0.590], [0.843, 0.348, 0.592], [0.033, 0.460, 0.843], [0.172, 0.172, 0.715], [0.476, 0.476, 0.855], [0.829, 0.829, 0.213], [0.659, 0.659, 0.112], [0.007, 0.007, 0.801], [0.525, 0.525, 0.345], [0.340, 0.835, 0.215], [0.340, 0.340, 0.413], [0.172, 0.664, 0.712], [0.970, 0.523, 0.357], [0.329, 0.329, 0.613]], "magnetic_moment_mub_per_cell": 17.00, "crystal_system": "monoclinic", "formation_energy_ev_per_atom": -1.98}